Computed, not measured: a geometry-optimized Sr2NdMn2O7 structure at the PBE+U level of DFT.

Values from the calculation:
The value obtained for the formation energy is -2.81 eV/atom. Its symmetry is I4/mmm, No. 139. Its calculated total energy is -86.7 eV for the cell shown.

Cell: 10.4250 10.4250 10.4250 Å, 158.35 158.35 30.80°
Fractional positions:
Sr  0.1829  0.1829  0.0000
Sr  0.8171  0.8171  0.0000
Nd  0.0000  0.0000  0.0000
Mn  0.4026  0.4026  0.0000
Mn  0.5974  0.5974  0.0000
O  0.0901  0.5901  0.5000
O  0.3063  0.3063  0.0000
O  0.4099  0.9099  0.5000
O  0.5000  0.5000  0.0000
O  0.5901  0.0901  0.5000
O  0.6937  0.6937  0.0000
O  0.9099  0.4099  0.5000